This record from the Materials Project database describes a geometry-optimized Na3AlAs2 structure. The functional is meta-GGA r2SCAN.

Calculated values
- Total moment: 0.000 μB/atom
- Energy relative to the elements: -0.66 eV per atom
- DFT total energy: -8.470 eV per atom

Cell: 8.205 8.205 8.205 Å, 130.05 68.78 135.92°
Sites, in units of the cell vectors:
1 Na 0.189 0.686 0.875
2 Na 0.250 0.250 0.000
3 Na 0.311 0.186 0.497
4 Na 0.689 0.814 0.503
5 Na 0.750 0.750 0.000
6 Na 0.811 0.314 0.125
7 Al 0.250 0.750 0.500
8 Al 0.750 0.250 0.500
9 As 0.104 0.298 0.402
10 As 0.396 0.798 0.195
11 As 0.604 0.202 0.805
12 As 0.896 0.702 0.598